Record 1
MgFeWS4: relaxed, PBE.

E = -6.241 eV per atom
Formation energy from the elements = -0.87 eV/atom
Total magnetization = 0.000 μB per cell

```
data_MgFeWS4
_chemical_formula_sum 'Mg2 Fe2 W2 S8'
_cell_length_a 7.3577
_cell_length_b 7.2602
_cell_length_c 7.2589
_cell_angle_alpha 57.50
_cell_angle_beta 59.49
_cell_angle_gamma 59.50
_space_group_name_H-M_alt 'P 1'
_space_group_IT_number 1
loop_
_space_group_symop_operation_xyz
'x,y,z'
loop_
_atom_site_label
_atom_site_type_symbol
_atom_site_fract_x
_atom_site_fract_y
_atom_site_fract_z
Mg1 Mg 0.8581 0.8902 0.8901
Mg2 Mg 0.1226 0.1269 0.1271
Fe1 Fe 0.4793 0.5240 0.5240
Fe2 Fe 0.9751 0.5234 0.5232
W1 W 0.5150 0.5231 0.9464
W2 W 0.5149 0.9464 0.5230
S1 S 0.7555 0.7451 0.7452
S2 S 0.2734 0.2465 0.7070
S3 S 0.2734 0.7070 0.2466
S4 S 0.7089 0.2546 0.2546
S5 S 0.7443 0.2893 0.7239
S6 S 0.2526 0.7457 0.7458
S7 S 0.2827 0.2538 0.2538
S8 S 0.7441 0.7240 0.2894
```

=====

Record 2
Li11Ge6: relaxed, PBE.

E = -3.184 eV per atom
Formation energy from the elements = -0.32 eV/atom

```
data_Li11Ge6
_chemical_formula_sum 'Li22 Ge12'
_cell_length_a 12.6227
_cell_length_b 12.6227
_cell_length_c 10.6212
_cell_angle_alpha 90.00
_cell_angle_beta 90.00
_cell_angle_gamma 160.30
_space_group_name_H-M_alt 'P 1'
_space_group_IT_number 1
loop_
_space_group_symop_operation_xyz
'x,y,z'
loop_
_atom_site_label
_atom_site_type_symbol
_atom_site_fract_x
_atom_site_fract_y
_atom_site_fract_z
Li1 Li 0.8202 0.1798 0.8803
Li2 Li 0.1798 0.8202 0.1197
Li3 Li 0.1798 0.8202 0.3803
Li4 Li 0.8202 0.1798 0.6197
Li5 Li 0.0905 0.9095 0.0007
Li6 Li 0.9095 0.0905 0.9993
Li7 Li 0.9095 0.0905 0.5007
Li8 Li 0.0905 0.9095 0.4993
Li9 Li 0.8567 0.1433 0.2500
Li10 Li 0.1433 0.8567 0.7500
Li11 Li 0.9741 0.0259 0.2500
Li12 Li 0.0259 0.9741 0.7500
Li13 Li 0.3605 0.6395 0.7500
Li14 Li 0.6395 0.3605 0.2500
Li15 Li 0.4650 0.5350 0.8874
Li16 Li 0.5350 0.4650 0.1126
Li17 Li 0.5350 0.4650 0.3874
Li18 Li 0.4650 0.5350 0.6126
Li19 Li 0.2417 0.7583 0.6056
Li20 Li 0.7583 0.2417 0.3944
Li21 Li 0.7583 0.2417 0.1056
Li22 Li 0.2417 0.7583 0.8944
Ge1 Ge 0.0807 0.9193 0.2500
Ge2 Ge 0.9193 0.0807 0.7500
Ge3 Ge 0.2716 0.7284 0.2500
Ge4 Ge 0.7284 0.2716 0.7500
Ge5 Ge 0.6711 0.3289 0.5520
Ge6 Ge 0.3289 0.6711 0.4480
Ge7 Ge 0.3289 0.6711 0.0520
Ge8 Ge 0.6711 0.3289 0.9480
Ge9 Ge 0.5755 0.4245 0.6340
Ge10 Ge 0.4245 0.5755 0.3660
Ge11 Ge 0.4245 0.5755 0.1340
Ge12 Ge 0.5755 0.4245 0.8660
```

=====

Record 3
CaTlBr3: relaxed, PBE.

E = -3.453 eV per atom
Formation energy from the elements = -1.92 eV/atom

```
data_CaTlBr3
_chemical_formula_sum 'Ca2 Tl2 Br6'
_cell_length_a 7.5710
_cell_length_b 7.5710
_cell_length_c 10.9275
_cell_angle_alpha 90.00
_cell_angle_beta 90.00
_cell_angle_gamma 146.85
_space_group_name_H-M_alt 'P 1'
_space_group_IT_number 1
loop_
_space_group_symop_operation_xyz
'x,y,z'
loop_
_atom_site_label
_atom_site_type_symbol
_atom_site_fract_x
_atom_site_fract_y
_atom_site_fract_z
Ca1 Ca 0.0000 0.0000 0.0000
Ca2 Ca 0.0000 0.0000 0.5000
Tl1 Tl 0.2544 0.7456 0.2500
Tl2 Tl 0.7456 0.2544 0.7500
Br1 Br 0.6312 0.3688 0.0516
Br2 Br 0.3688 0.6312 0.9484
Br3 Br 0.3688 0.6312 0.5516
Br4 Br 0.6312 0.3688 0.4484
Br5 Br 0.9283 0.0717 0.2500
Br6 Br 0.0717 0.9283 0.7500
```

=====

Record 4
Na4YAlSi2SO12: relaxed, PBE.

E = -6.670 eV per atom
Formation energy from the elements = -2.78 eV/atom
Total magnetization = 0.000 μB per cell

```
data_Na4YAlSi2SO12
_chemical_formula_sum 'Na24 Y6 Al6 Si12 S6 O72'
_cell_length_a 9.1633
_cell_length_b 9.1435
_cell_length_c 22.2434
_cell_angle_alpha 89.71
_cell_angle_beta 90.22
_cell_angle_gamma 119.61
_space_group_name_H-M_alt 'P 1'
_space_group_IT_number 1
loop_
_space_group_symop_operation_xyz
'x,y,z'
loop_
_atom_site_label
_atom_site_type_symbol
_atom_site_fract_x
_atom_site_fract_y
_atom_site_fract_z
Na1 Na 0.6450 0.9993 0.2563
Na2 Na 0.3556 0.3699 0.2444
Na3 Na 0.9955 0.6292 0.2591
Na4 Na 0.6250 0.6267 0.7292
Na5 Na 0.9958 0.3488 0.7517
Na6 Na 0.3837 0.0175 0.7502
Na7 Na 0.3118 0.3321 0.5916
Na8 Na 0.0418 0.7179 0.5745
Na9 Na 0.6628 0.9482 0.5898
Na10 Na 0.2862 0.9700 0.0752
Na11 Na 0.6744 0.6865 0.0953
Na12 Na 0.0493 0.3397 0.0932
Na13 Na 0.9912 0.6661 0.9256
Na14 Na 0.6924 0.0433 0.9021
Na15 Na 0.3175 0.2870 0.9228
Na16 Na 0.9566 0.3028 0.4072
Na17 Na 0.3281 0.0182 0.4205
Na18 Na 0.7038 0.6713 0.4234
Na19 Na 0.9902 0.9765 0.4990
Na20 Na 0.0260 0.0134 0.0020
Na21 Na 0.6559 0.3075 0.8288
Na22 Na 0.6788 0.3401 0.3360
Na23 Na 0.3217 0.6439 0.1745
Na24 Na 0.3543 0.6782 0.6620
Y1 Y 0.0090 0.0164 0.8436
Y2 Y 0.9966 0.0009 0.1617
Y3 Y 0.6667 0.3339 0.9858
Y4 Y 0.3234 0.6559 0.0219
Y5 Y 0.3422 0.6818 0.5153
Y6 Y 0.3341 0.6663 0.8093
Al1 Al 0.9507 0.9743 0.3496
Al2 Al 0.0014 0.9970 0.6449
Al3 Al 0.6366 0.3128 0.6805
Al4 Al 0.6892 0.3738 0.1906
Al5 Al 0.6645 0.3332 0.4827
Al6 Al 0.3265 0.6704 0.3203
Si1 Si 0.6779 0.6937 0.2535
Si2 Si 0.0008 0.3064 0.2543
Si3 Si 0.3011 0.2924 0.7403
Si4 Si 0.7105 0.0147 0.7386
Si5 Si 0.3708 0.0498 0.5812
Si6 Si 0.6796 0.6180 0.5838
Si7 Si 0.9663 0.6356 0.0884
Si8 Si 0.3793 0.3318 0.0926
Si9 Si 0.0247 0.3574 0.9144
Si10 Si 0.3331 0.9713 0.9158
Si11 Si 0.6305 0.9714 0.4161
Si12 Si 0.0302 0.6748 0.4146
S1 S 0.3049 0.9944 0.2562
S2 S 0.9921 0.7000 0.7430
S3 S 0.9454 0.3241 0.5811
S4 S 0.6687 0.0382 0.0900
S5 S 0.6388 0.6699 0.9156
S6 S 0.3325 0.3670 0.4152
O1 O 0.2132 0.0184 0.3060
O2 O 0.8197 0.7960 0.3052
O3 O 0.9705 0.1593 0.3053
O4 O 0.2380 0.1973 0.8051
O5 O 0.9707 0.7702 0.8003
O6 O 0.8038 0.0413 0.8039
O7 O 0.8186 0.9847 0.6856
O8 O 0.1683 0.1779 0.6870
O9 O 0.0074 0.8114 0.6917
O10 O 0.7425 0.8062 0.1920
O11 O 0.0508 0.2502 0.1917
O12 O 0.2104 0.9691 0.1986
O13 O 0.8671 0.3458 0.6353
O14 O 0.4863 0.1362 0.6400
O15 O 0.6669 0.5013 0.6418
O16 O 0.8590 0.5172 0.1456
O17 O 0.6594 0.1318 0.1422
O18 O 0.5018 0.3333 0.1480
O19 O 0.4457 0.3115 0.0267
O20 O 0.8729 0.5579 0.0245
O21 O 0.6783 0.1242 0.0322
O22 O 0.4686 0.1688 0.5220
O23 O 0.6992 0.5273 0.5224
O24 O 0.8465 0.3103 0.5258
O25 O 0.5588 0.6858 0.9710
O26 O 0.1373 0.4469 0.9746
O27 O 0.3314 0.8705 0.9773
O28 O 0.5742 0.8572 0.4773
O29 O 0.3004 0.4331 0.4720
O30 O 0.1422 0.7204 0.4764
O31 O 0.1381 0.6454 0.3615
O32 O 0.4940 0.8662 0.3623
O33 O 0.3520 0.4814 0.3645
O34 O 0.1227 0.4622 0.8539
O35 O 0.3552 0.8809 0.8557
O36 O 0.5390 0.6597 0.8615
O37 O 0.0089 0.8451 0.4023
O38 O 0.8213 0.9977 0.4055
O39 O 0.1894 0.1952 0.4067
O40 O 0.9976 0.1670 0.9170
O41 O 0.1532 0.9686 0.9159
O42 O 0.8076 0.8177 0.9120
O43 O 0.9610 0.1684 0.5828
O44 O 0.1779 0.0274 0.5866
O45 O 0.8451 0.8136 0.5893
O46 O 0.9839 0.8224 0.0917
O47 O 0.8236 0.0236 0.0903
O48 O 0.1883 0.1710 0.0954
O49 O 0.6973 0.1893 0.7318
O50 O 0.4941 0.3210 0.7368
O51 O 0.8492 0.5283 0.7385
O52 O 0.6674 0.5069 0.2489
O53 O 0.8238 0.3178 0.2466
O54 O 0.4762 0.1411 0.2527
O55 O 0.6500 0.5147 0.9155
O56 O 0.8432 0.3499 0.9136
O57 O 0.4926 0.1626 0.9144
O58 O 0.6472 0.1603 0.4249
O59 O 0.4933 0.3620 0.4188
O60 O 0.8445 0.4995 0.4212
O61 O 0.3774 0.5107 0.0945
O62 O 0.1525 0.6513 0.0921
O63 O 0.5193 0.8677 0.0900
O64 O 0.3483 0.8587 0.5816
O65 O 0.5052 0.6312 0.5836
O66 O 0.1191 0.4722 0.5773
O67 O 0.3163 0.8365 0.2616
O68 O 0.4915 0.6703 0.2682
O69 O 0.1626 0.4935 0.2685
O70 O 0.3147 0.4786 0.7385
O71 O 0.1509 0.6923 0.7429
O72 O 0.5227 0.8471 0.7393
```

=====

Record 5
SmErRu2: relaxed, PBE.

E = -7.227 eV per atom
Formation energy from the elements = -0.27 eV/atom
Total magnetization = 0.001 μB per cell

```
data_SmErRu2
_chemical_formula_sum 'Sm1 Er1 Ru2'
_cell_length_a 4.8415
_cell_length_b 4.8415
_cell_length_c 4.8415
_cell_angle_alpha 60.00
_cell_angle_beta 60.00
_cell_angle_gamma 60.00
_space_group_name_H-M_alt 'P 1'
_space_group_IT_number 1
loop_
_space_group_symop_operation_xyz
'x,y,z'
loop_
_atom_site_label
_atom_site_type_symbol
_atom_site_fract_x
_atom_site_fract_y
_atom_site_fract_z
Sm1 Sm 0.0000 0.0000 0.0000
Er1 Er 0.5000 0.5000 0.5000
Ru1 Ru 0.2500 0.2500 0.2500
Ru2 Ru 0.7500 0.7500 0.7500
```

=====

Record 6
AgSnTe2: relaxed, PBE.

E = -3.412 eV per atom
Formation energy from the elements = -0.34 eV/atom
Total magnetization = 0.006 μB per cell

```
data_AgSnTe2
_chemical_formula_sum 'Ag1 Sn1 Te2'
_cell_length_a 4.3444
_cell_length_b 4.3444
_cell_length_c 6.0746
_cell_angle_alpha 90.00
_cell_angle_beta 90.00
_cell_angle_gamma 90.00
_space_group_name_H-M_alt 'P 1'
_space_group_IT_number 1
loop_
_space_group_symop_operation_xyz
'x,y,z'
loop_
_atom_site_label
_atom_site_type_symbol
_atom_site_fract_x
_atom_site_fract_y
_atom_site_fract_z
Ag1 Ag 0.0000 0.0000 0.0000
Sn1 Sn 0.5000 0.5000 0.5000
Te1 Te 0.0000 0.0000 0.5000
Te2 Te 0.5000 0.5000 0.0000
```